<P>
The following is a DFT calculation (PBE with a Hubbard U) of a relaxed Gd2W3O12 crystal.

Results
* total magnetic moment: 0.1 μB per formula unit

Lattice parameters (Å, degrees): 10.586 10.610 10.871 90.00 90.00 90.00
Fractional positions:
1 Gd 0.006 0.811 0.263
2 Gd 0.189 0.496 0.738
3 Gd 0.311 0.996 0.738
4 Gd 0.494 0.311 0.263
5 Gd 0.506 0.689 0.263
6 Gd 0.689 0.004 0.738
7 Gd 0.811 0.504 0.738
8 Gd 0.994 0.189 0.263
9 W 0.003 0.206 0.643
10 W 0.206 0.488 0.357
11 W 0.243 0.244 0.000
12 W 0.257 0.744 0.000
13 W 0.294 0.988 0.357
14 W 0.497 0.706 0.643
15 W 0.503 0.294 0.643
16 W 0.706 0.012 0.357
17 W 0.743 0.256 0.000
18 W 0.757 0.756 0.000
19 W 0.794 0.512 0.357
20 W 0.997 0.794 0.643
21 O 0.007 0.627 0.691
22 O 0.021 0.806 0.479
23 O 0.113 0.616 0.292
24 O 0.118 0.885 0.720
25 O 0.123 0.170 0.095
26 O 0.128 0.006 0.311
27 O 0.143 0.820 0.100
28 O 0.155 0.335 0.305
29 O 0.160 0.154 0.682
30 O 0.169 0.359 0.900
31 O 0.182 0.625 0.906
32 O 0.193 0.489 0.523
33 O 0.307 0.989 0.523
34 O 0.318 0.125 0.906
35 O 0.331 0.859 0.900
36 O 0.340 0.654 0.682
37 O 0.345 0.835 0.305
38 O 0.357 0.320 0.100
39 O 0.372 0.506 0.311
40 O 0.377 0.670 0.095
41 O 0.382 0.385 0.720
42 O 0.387 0.116 0.292
43 O 0.479 0.306 0.479
44 O 0.493 0.127 0.691
45 O 0.507 0.873 0.691
46 O 0.521 0.694 0.479
47 O 0.613 0.884 0.292
48 O 0.618 0.615 0.720
49 O 0.623 0.330 0.095
50 O 0.628 0.494 0.311
51 O 0.643 0.680 0.100
52 O 0.655 0.165 0.305
53 O 0.660 0.346 0.682
54 O 0.669 0.141 0.900
55 O 0.682 0.875 0.906
56 O 0.693 0.011 0.523
57 O 0.807 0.511 0.523
58 O 0.818 0.375 0.906
59 O 0.831 0.641 0.900
60 O 0.840 0.846 0.682
61 O 0.845 0.665 0.305
62 O 0.857 0.180 0.100
63 O 0.872 0.994 0.311
64 O 0.877 0.830 0.095
65 O 0.882 0.115 0.720
66 O 0.887 0.384 0.292
67 O 0.979 0.194 0.479
68 O 0.993 0.373 0.691

***

<Q>
The following is a DFT calculation (PBE with a Hubbard U) of a relaxed Gd2W3O12 crystal.

Results
* total magnetic moment: 14.0 μB per formula unit

Lattice parameters (Å, degrees): 7.005 7.005 11.537 79.16 79.16 112.22
Fractional positions:
1 Gd 0.693 0.948 0.595
2 Gd 0.948 0.693 0.095
3 Gd 0.052 0.307 0.905
4 Gd 0.307 0.052 0.405
5 W 0.509 0.797 0.952
6 W 0.797 0.509 0.452
7 W 0.118 0.882 0.750
8 W 0.882 0.118 0.250
9 W 0.203 0.491 0.548
10 W 0.491 0.203 0.048
11 O 0.649 0.796 0.802
12 O 0.405 0.988 0.720
13 O 0.026 0.947 0.892
14 O 0.673 0.606 0.561
15 O 0.222 0.622 0.962
16 O 0.898 0.324 0.576
17 O 0.796 0.649 0.302
18 O 0.676 0.102 0.924
19 O 0.378 0.778 0.538
20 O 0.394 0.327 0.939
21 O 0.053 0.974 0.608
22 O 0.988 0.405 0.220
23 O 0.012 0.595 0.780
24 O 0.947 0.026 0.392
25 O 0.606 0.673 0.061
26 O 0.622 0.222 0.462
27 O 0.324 0.898 0.076
28 O 0.204 0.351 0.698
29 O 0.102 0.676 0.424
30 O 0.778 0.378 0.038
31 O 0.327 0.394 0.439
32 O 0.974 0.053 0.108
33 O 0.595 0.012 0.280
34 O 0.351 0.204 0.198

***

Energy above the most stable structure, in meV/atom: <P> 617; <Q> 0

***

<P>
The following is a DFT calculation (PBE with a Hubbard U) of a relaxed MnGe2O6 crystal.

Results
* total magnetic moment: 3.0 μB per formula unit

Lattice parameters (Å, degrees): 8.870 5.418 9.987 75.30 90.00 90.00
Fractional positions:
1 Mn 0.660 0.026 0.240
2 Mn 0.160 0.474 0.760
3 Mn 0.340 0.974 0.760
4 Mn 0.840 0.526 0.240
5 Ge 0.340 0.154 0.053
6 Ge 0.840 0.346 0.947
7 Ge 0.660 0.846 0.947
8 Ge 0.160 0.654 0.053
9 Ge 0.345 0.880 0.473
10 Ge 0.845 0.620 0.527
11 Ge 0.655 0.120 0.527
12 Ge 0.155 0.380 0.473
13 O 0.277 0.633 0.400
14 O 0.777 0.867 0.600
15 O 0.723 0.367 0.600
16 O 0.223 0.133 0.400
17 O 0.300 0.827 0.113
18 O 0.800 0.673 0.887
19 O 0.700 0.173 0.887
20 O 0.200 0.327 0.113
21 O 0.963 0.395 0.406
22 O 0.463 0.105 0.594
23 O 0.037 0.605 0.594
24 O 0.537 0.895 0.406
25 O 0.984 0.711 0.119
26 O 0.484 0.789 0.881
27 O 0.016 0.289 0.881
28 O 0.516 0.211 0.119
29 O 0.328 0.244 0.864
30 O 0.828 0.256 0.136
31 O 0.672 0.756 0.136
32 O 0.172 0.744 0.864
33 O 0.316 0.714 0.658
34 O 0.816 0.786 0.342
35 O 0.684 0.286 0.342
36 O 0.184 0.214 0.658

***

<Q>
The following is a DFT calculation (PBE with a Hubbard U) of a relaxed MnGe2O6 crystal.

Results
* total magnetic moment: 0.0 μB per formula unit

Lattice parameters (Å, degrees): 5.534 9.513 8.736 90.00 90.00 102.13
Fractional positions:
1 Mn 0.750 0.000 0.088
2 Mn 0.750 0.500 0.412
3 Mn 0.250 0.500 0.588
4 Mn 0.250 0.000 0.912
5 Ge 0.059 0.297 0.908
6 Ge 0.559 0.797 0.408
7 Ge 0.441 0.703 0.908
8 Ge 0.941 0.203 0.408
9 Ge 0.941 0.703 0.092
10 Ge 0.441 0.203 0.592
11 Ge 0.559 0.297 0.092
12 Ge 0.059 0.797 0.592
13 O 0.808 0.366 0.972
14 O 0.308 0.866 0.472
15 O 0.692 0.634 0.972
16 O 0.192 0.134 0.472
17 O 0.192 0.634 0.028
18 O 0.692 0.134 0.528
19 O 0.308 0.366 0.028
20 O 0.808 0.866 0.528
21 O 0.595 0.352 0.285
22 O 0.095 0.852 0.785
23 O 0.905 0.648 0.285
24 O 0.405 0.148 0.785
25 O 0.405 0.648 0.715
26 O 0.905 0.148 0.215
27 O 0.095 0.352 0.715
28 O 0.595 0.852 0.215
29 O 0.974 0.102 0.921
30 O 0.474 0.602 0.421
31 O 0.526 0.898 0.921
32 O 0.026 0.398 0.421
33 O 0.026 0.898 0.079
34 O 0.526 0.398 0.579
35 O 0.474 0.102 0.079
36 O 0.974 0.602 0.579

***

Energy above the most stable structure, in meV/atom: <P> 28; <Q> 0

***

<P>
The following is a DFT calculation (PBE with a Hubbard U) of a relaxed MnZnGe2O6 crystal.

Results
* total magnetic moment: 0.0 μB per formula unit

Lattice parameters (Å, degrees): 5.556 7.013 13.774 92.35 98.89 75.89
Fractional positions:
1 Mn 0.302 0.898 0.552
2 Mn 0.198 0.102 0.949
3 Mn 0.801 0.898 0.051
4 Mn 0.699 0.102 0.449
5 Zn 0.133 0.234 0.383
6 Zn 0.632 0.235 0.883
7 Zn 0.367 0.766 0.117
8 Zn 0.868 0.765 0.617
9 Ge 0.839 0.390 0.109
10 Ge 0.340 0.390 0.609
11 Ge 0.075 0.781 0.305
12 Ge 0.575 0.781 0.805
13 Ge 0.661 0.610 0.391
14 Ge 0.161 0.610 0.891
15 Ge 0.425 0.219 0.195
16 Ge 0.925 0.219 0.695
17 O 0.698 0.315 0.205
18 O 0.199 0.315 0.705
19 O 0.349 0.590 0.343
20 O 0.849 0.590 0.843
21 O 0.802 0.685 0.295
22 O 0.302 0.685 0.795
23 O 0.151 0.410 0.157
24 O 0.651 0.410 0.657
25 O 0.418 0.141 0.314
26 O 0.918 0.141 0.814
27 O 0.826 0.372 0.430
28 O 0.325 0.372 0.930
29 O 0.082 0.859 0.186
30 O 0.583 0.859 0.686
31 O 0.674 0.628 0.070
32 O 0.175 0.628 0.570
33 O 0.866 0.203 0.018
34 O 0.367 0.203 0.518
35 O 0.050 0.964 0.399
36 O 0.550 0.964 0.899
37 O 0.634 0.797 0.482
38 O 0.133 0.797 0.982
39 O 0.450 0.036 0.101
40 O 0.950 0.036 0.602

***

<Q>
The following is a DFT calculation (PBE with a Hubbard U) of a relaxed MnZnGe2O6 crystal.

Results
* total magnetic moment: 5.0 μB per formula unit

Lattice parameters (Å, degrees): 9.489 5.526 9.878 77.69 90.00 90.00
Fractional positions:
1 Mn 0.650 0.037 0.244
2 Mn 0.150 0.463 0.756
3 Mn 0.350 0.963 0.756
4 Mn 0.850 0.537 0.244
5 Zn 0.498 0.545 0.246
6 Zn 0.998 0.955 0.754
7 Zn 0.502 0.455 0.754
8 Zn 0.002 0.045 0.246
9 Ge 0.335 0.190 0.057
10 Ge 0.835 0.310 0.943
11 Ge 0.665 0.810 0.943
12 Ge 0.165 0.690 0.057
13 Ge 0.340 0.750 0.455
14 Ge 0.840 0.750 0.545
15 Ge 0.660 0.250 0.545
16 Ge 0.160 0.250 0.455
17 O 0.276 0.498 0.386
18 O 0.776 0.002 0.614
19 O 0.724 0.502 0.614
20 O 0.224 0.998 0.386
21 O 0.315 0.856 0.106
22 O 0.815 0.644 0.894
23 O 0.685 0.144 0.894
24 O 0.185 0.356 0.106
25 O 0.996 0.286 0.371
26 O 0.496 0.214 0.629
27 O 0.004 0.714 0.629
28 O 0.504 0.786 0.371
29 O 0.020 0.776 0.144
30 O 0.520 0.724 0.856
31 O 0.980 0.224 0.856
32 O 0.480 0.276 0.144
33 O 0.340 0.253 0.874
34 O 0.840 0.247 0.126
35 O 0.660 0.747 0.126
36 O 0.160 0.753 0.874
37 O 0.339 0.681 0.637
38 O 0.839 0.819 0.363
39 O 0.661 0.319 0.363
40 O 0.161 0.181 0.637

***

Energy above the most stable structure, in meV/atom: <P> 0; <Q> 5

***

<P>
The following is a DFT calculation (PBE with a Hubbard U) of a relaxed NiGe2O6 crystal.

Results
* total magnetic moment: 3.2 μB per formula unit

Lattice parameters (Å, degrees): 6.618 6.618 5.543 75.33 75.33 83.03
Fractional positions:
1 Ni 0.081 0.919 0.750
2 Ni 0.919 0.081 0.250
3 Ge 0.204 0.390 0.766
4 Ge 0.610 0.796 0.734
5 Ge 0.796 0.610 0.234
6 Ge 0.390 0.204 0.266
7 O 0.392 0.347 0.494
8 O 0.653 0.608 0.006
9 O 0.608 0.653 0.506
10 O 0.347 0.392 0.994
11 O 0.638 0.070 0.197
12 O 0.930 0.362 0.303
13 O 0.362 0.930 0.803
14 O 0.070 0.638 0.697
15 O 0.019 0.189 0.875
16 O 0.811 0.981 0.625
17 O 0.981 0.811 0.125
18 O 0.189 0.019 0.375

***

<Q>
The following is a DFT calculation (PBE with a Hubbard U) of a relaxed NiGe2O6 crystal.

Results
* total magnetic moment: 1.0 μB per formula unit

Lattice parameters (Å, degrees): 8.974 5.370 10.128 74.66 90.00 90.00
Fractional positions:
1 Ni 0.663 0.004 0.234
2 Ni 0.163 0.496 0.766
3 Ni 0.337 0.996 0.766
4 Ni 0.837 0.504 0.234
5 Ge 0.342 0.138 0.055
6 Ge 0.842 0.362 0.945
7 Ge 0.658 0.862 0.945
8 Ge 0.158 0.638 0.055
9 Ge 0.348 0.892 0.487
10 Ge 0.848 0.608 0.513
11 Ge 0.652 0.108 0.513
12 Ge 0.152 0.392 0.487
13 O 0.266 0.661 0.406
14 O 0.766 0.839 0.594
15 O 0.734 0.339 0.594
16 O 0.234 0.161 0.406
17 O 0.303 0.804 0.114
18 O 0.803 0.696 0.886
19 O 0.697 0.196 0.886
20 O 0.197 0.304 0.114
21 O 0.967 0.382 0.416
22 O 0.467 0.118 0.584
23 O 0.033 0.618 0.584
24 O 0.533 0.882 0.416
25 O 0.986 0.708 0.120
26 O 0.486 0.792 0.880
27 O 0.014 0.292 0.880
28 O 0.514 0.208 0.120
29 O 0.338 0.248 0.871
30 O 0.838 0.252 0.129
31 O 0.662 0.752 0.129
32 O 0.162 0.748 0.871
33 O 0.312 0.734 0.667
34 O 0.812 0.766 0.333
35 O 0.688 0.266 0.333
36 O 0.188 0.234 0.667

***

Energy above the most stable structure, in meV/atom: <P> 44; <Q> 0

***

<P>
The following is a DFT calculation (PBE with a Hubbard U) of a relaxed ZnGe2WO6 crystal.

Results
* total magnetic moment: 0.0 μB per formula unit

Lattice parameters (Å, degrees): 8.012 8.012 4.992 89.88 89.88 69.68
Fractional positions:
1 Zn 0.638 0.362 0.250
2 Zn 0.362 0.638 0.750
3 Ge 0.574 0.794 0.280
4 Ge 0.206 0.426 0.220
5 Ge 0.426 0.206 0.720
6 Ge 0.794 0.574 0.780
7 W 0.102 0.898 0.250
8 W 0.898 0.102 0.750
9 O 0.674 0.559 0.450
10 O 0.441 0.326 0.050
11 O 0.326 0.441 0.550
12 O 0.559 0.674 0.950
13 O 0.823 0.327 0.929
14 O 0.673 0.177 0.571
15 O 0.177 0.673 0.071
16 O 0.327 0.823 0.429
17 O 0.859 0.971 0.047
18 O 0.029 0.141 0.453
19 O 0.141 0.029 0.953
20 O 0.971 0.859 0.547

***

<Q>
The following is a DFT calculation (PBE with a Hubbard U) of a relaxed ZnGe2WO6 crystal.

Results
* total magnetic moment: 2.0 μB per formula unit

Lattice parameters (Å, degrees): 8.760 5.536 12.572 77.77 90.00 90.00
Fractional positions:
1 Zn 0.450 0.553 0.223
2 Zn 0.950 0.947 0.777
3 Zn 0.550 0.447 0.777
4 Zn 0.050 0.053 0.223
5 Ge 0.366 0.148 0.085
6 Ge 0.866 0.352 0.915
7 Ge 0.634 0.852 0.915
8 Ge 0.134 0.648 0.085
9 Ge 0.340 0.786 0.461
10 Ge 0.840 0.714 0.539
11 Ge 0.660 0.214 0.539
12 Ge 0.160 0.286 0.461
13 W 0.658 0.018 0.297
14 W 0.158 0.482 0.703
15 W 0.342 0.982 0.703
16 W 0.842 0.518 0.297
17 O 0.285 0.534 0.400
18 O 0.785 0.966 0.600
19 O 0.715 0.466 0.600
20 O 0.215 0.034 0.400
21 O 0.307 0.804 0.149
22 O 0.807 0.696 0.851
23 O 0.693 0.196 0.851
24 O 0.193 0.304 0.149
25 O 0.973 0.336 0.421
26 O 0.473 0.164 0.579
27 O 0.027 0.664 0.579
28 O 0.527 0.836 0.421
29 O 0.006 0.716 0.201
30 O 0.506 0.784 0.799
31 O 0.994 0.284 0.799
32 O 0.494 0.216 0.201
33 O 0.345 0.291 0.773
34 O 0.845 0.209 0.227
35 O 0.655 0.709 0.227
36 O 0.155 0.791 0.773
37 O 0.331 0.703 0.606
38 O 0.831 0.797 0.394
39 O 0.669 0.297 0.394
40 O 0.169 0.203 0.606

***

Energy above the most stable structure, in meV/atom: <P> 56; <Q> 0